(1)
Compound: LiMn2O4
Source: the Materials Project
Functional: PBE+U
Structure: optimized geometry

a b c (Å): 5.8200 5.8200 5.9027
angles (deg): 117.63 117.63 91.11
Last column: nearest neighbours and their distance in Å.
Atoms (fractional coordinates):
Li (0.0000, 0.5000, 0.0000)  6 O 2.15-2.19
Li (0.5000, 0.0000, 0.5000)  6 O 2.15-2.19
Mn (0.0000, 0.0000, 0.0000)  6 O 1.92-1.96
Mn (0.0000, 0.0000, 0.5000)  6 O 1.92-1.96
Mn (0.0000, 0.5000, 0.5000)  4 O 1.94-2.01
Mn (0.5000, 0.0000, 0.0000)  4 O 1.94-2.01
O (0.1983, 0.2202, 0.4415)  3 Mn 1.95-2.01, 1 Li 2.19
O (0.2105, 0.7490, 0.4845)  2 Mn 1.92-1.94, 2 Li 2.15
O (0.2202, 0.1983, 0.9415)  3 Mn 1.95-2.01, 1 Li 2.19
O (0.2510, 0.7895, 0.0155)  2 Mn 1.92-1.94, 2 Li 2.15
O (0.7490, 0.2105, 0.9845)  2 Mn 1.92-1.94, 2 Li 2.15
O (0.7798, 0.8017, 0.0585)  3 Mn 1.95-2.01, 1 Li 2.19
O (0.7895, 0.2510, 0.5155)  2 Mn 1.92-1.94, 2 Li 2.15
O (0.8017, 0.7798, 0.5585)  3 Mn 1.95-2.01, 1 Li 2.19

Output
Magnetization: 7.0 μB per formula unit
Energy of formation from the pure elements: -194.8 kJ/mol of atoms
Symmetry: C2/c, No. 15
Calculated total energy: -6.867 eV/atom

---

(2)
Compound: Sr3V2O7
Source: the Materials Project
Functional: PBE+U
Structure: optimized geometry

a b c (Å): 10.3482 10.3482 10.3482
angles (deg): 157.84 157.84 31.54
Last column: nearest neighbours and their distance in Å.
Atoms (fractional coordinates):
Sr (0.0000, 0.0000, 0.0000)  12 O 2.75-2.81
Sr (0.1805, 0.1805, 0.0000)  9 O 2.53-2.82
Sr (0.8195, 0.8195, 0.0000)  9 O 2.53-2.82
V (0.4022, 0.4022, 0.0000)  6 O 1.89-1.99
V (0.5978, 0.5978, 0.0000)  6 O 1.89-1.99
O (0.0957, 0.5957, 0.5000)  2 V 1.99
O (0.3073, 0.3073, 0.0000)  1 V 1.89
O (0.4043, 0.9043, 0.5000)  2 V 1.99
O (0.5000, 0.5000, 0.0000)  2 V 1.95
O (0.5957, 0.0957, 0.5000)  2 V 1.99
O (0.6927, 0.6927, 0.0000)  1 V 1.89
O (0.9043, 0.4043, 0.5000)  2 V 1.99

Output
Energy of formation from the pure elements: -286.4 kJ/mol of atoms
Symmetry: I4/mmm, No. 139
Calculated total energy: -7.107 eV/atom

---

(3)
Compound: Li3Mo3P4O16
Source: the Materials Project
Functional: PBE+U
Structure: optimized geometry

a b c (Å): 7.7453 8.3694 10.2670
angles (deg): 90.00 91.99 90.00
Last column: nearest neighbours and their distance in Å.
Atoms (fractional coordinates):
Li (0.1410, 0.0000, 0.0758)  5 O 1.95-2.15
Li (0.1443, 0.9888, 0.5786)  3 O 1.90-2.10
Li (0.3361, 0.7275, 0.6685)  3 O 1.90-2.04
Li (0.6639, 0.2275, 0.3315)  3 O 1.90-2.04
Li (0.8557, 0.4888, 0.4214)  3 O 1.90-2.10
Li (0.8590, 0.5000, 0.9242)  5 O 1.95-2.15
Mo (0.2354, 0.3609, 0.6232)  6 O 2.08-2.25
Mo (0.2454, 0.3495, 0.1254)  6 O 2.09-2.24
Mo (0.3593, 0.7250, 0.1826)  5 O 2.06-2.13
Mo (0.6407, 0.2250, 0.8174)  5 O 2.06-2.13
Mo (0.7546, 0.8495, 0.8746)  6 O 2.09-2.24
Mo (0.7646, 0.8609, 0.3768)  6 O 2.08-2.25
P (0.0470, 0.1592, 0.8605)  4 O 1.55-1.57
P (0.0511, 0.1656, 0.3589)  4 O 1.51-1.57
P (0.4448, 0.5622, 0.8890)  4 O 1.53-1.59
P (0.4589, 0.5445, 0.4007)  4 O 1.49-1.63
P (0.5411, 0.0445, 0.5993)  4 O 1.49-1.63
P (0.5552, 0.0622, 0.1110)  4 O 1.53-1.59
P (0.9489, 0.6656, 0.6411)  4 O 1.51-1.57
P (0.9530, 0.6592, 0.1395)  4 O 1.55-1.57
O (0.0042, 0.4918, 0.6018)  1 P 1.57
O (0.0117, 0.4884, 0.1029)  1 P 1.55
O (0.0972, 0.7824, 0.6464)  1 P 1.51
O (0.1075, 0.7781, 0.1256)  1 P 1.57
O (0.1151, 0.1666, 0.7210)  1 P 1.55
O (0.1384, 0.1558, 0.2231)  1 P 1.57
O (0.1921, 0.2078, 0.9608)  1 P 1.55
O (0.1949, 0.2129, 0.4626)  1 P 1.56
O (0.3070, 0.5073, 0.7884)  1 P 1.53
O (0.3175, 0.5094, 0.2864)  1 P 1.60
O (0.3581, 0.5620, 0.0274)  1 P 1.59
O (0.3657, 0.5572, 0.5293)  1 P 1.53
O (0.3929, 0.9307, 0.5986)  1 P 1.49
O (0.4001, 0.9456, 0.0997)  1 P 1.55
O (0.4823, 0.2211, 0.6489)  1 P 1.63
O (0.4928, 0.2314, 0.1446)  1 P 1.54
O (0.5072, 0.7314, 0.8554)  1 P 1.54
O (0.5177, 0.7211, 0.3511)  1 P 1.63
O (0.5999, 0.4456, 0.9003)  1 P 1.55
O (0.6071, 0.4307, 0.4014)  1 P 1.49
O (0.6343, 0.0572, 0.4707)  1 P 1.53
O (0.6419, 0.0620, 0.9726)  1 P 1.59
O (0.6825, 0.0094, 0.7136)  1 P 1.60
O (0.6930, 0.0073, 0.2116)  1 P 1.53
O (0.8051, 0.7129, 0.5374)  1 P 1.56
O (0.8079, 0.7078, 0.0392)  1 P 1.55
O (0.8616, 0.6558, 0.7769)  1 P 1.57
O (0.8849, 0.6666, 0.2790)  1 P 1.55
O (0.8925, 0.2781, 0.8744)  1 P 1.57
O (0.9028, 0.2824, 0.3536)  1 P 1.51
O (0.9883, 0.9884, 0.8971)  1 P 1.55
O (0.9958, 0.9918, 0.3982)  1 P 1.57

Output
Magnetization: 9.0 μB per formula unit
Energy of formation from the pure elements: -240.8 kJ/mol of atoms
Symmetry: P2_1, No. 4
Calculated total energy: -7.053 eV/atom

---

Which of these has the highest energy of formation from the pure elements? LiMn2O4

---

Among the records above, which one has the lowest calculated total energy? Sr3V2O7

---

Copy entry 1 word for word.
Compound: LiMn2O4
Source: the Materials Project
Functional: PBE+U
Structure: optimized geometry

a b c (Å): 5.8200 5.8200 5.9027
angles (deg): 117.63 117.63 91.11
Last column: nearest neighbours and their distance in Å.
Atoms (fractional coordinates):
Li (0.0000, 0.5000, 0.0000)  6 O 2.15-2.19
Li (0.5000, 0.0000, 0.5000)  6 O 2.15-2.19
Mn (0.0000, 0.0000, 0.0000)  6 O 1.92-1.96
Mn (0.0000, 0.0000, 0.5000)  6 O 1.92-1.96
Mn (0.0000, 0.5000, 0.5000)  4 O 1.94-2.01
Mn (0.5000, 0.0000, 0.0000)  4 O 1.94-2.01
O (0.1983, 0.2202, 0.4415)  3 Mn 1.95-2.01, 1 Li 2.19
O (0.2105, 0.7490, 0.4845)  2 Mn 1.92-1.94, 2 Li 2.15
O (0.2202, 0.1983, 0.9415)  3 Mn 1.95-2.01, 1 Li 2.19
O (0.2510, 0.7895, 0.0155)  2 Mn 1.92-1.94, 2 Li 2.15
O (0.7490, 0.2105, 0.9845)  2 Mn 1.92-1.94, 2 Li 2.15
O (0.7798, 0.8017, 0.0585)  3 Mn 1.95-2.01, 1 Li 2.19
O (0.7895, 0.2510, 0.5155)  2 Mn 1.92-1.94, 2 Li 2.15
O (0.8017, 0.7798, 0.5585)  3 Mn 1.95-2.01, 1 Li 2.19

Output
Magnetization: 7.0 μB per formula unit
Energy of formation from the pure elements: -194.8 kJ/mol of atoms
Symmetry: C2/c, No. 15
Calculated total energy: -6.867 eV/atom